1.
First-principles (r2SCAN) data for ErTiGe after structural relaxation, as listed in the Materials Project database.

abc: 4.010 4.010 7.627
angles: 90.00 90.00 90.00
Element x y z (fractional)
Ge 0.750 0.750 0.754
Ge 0.250 0.250 0.246
Ti 0.250 0.750 0.000
Ti 0.750 0.250 0.000
Er 0.750 0.750 0.349
Er 0.250 0.250 0.651

Values from the calculation:
Total moment = 1.258 μB/f.u.
Calculated volume = 122.7 Å³ per cell
Electronic total energy = -126.3 eV per cell

2.
First-principles (r2SCAN) data for Ac2Mg after structural relaxation, as listed in the Materials Project database.

abc: 4.119 4.119 7.482
angles: 106.00 106.00 89.94
Element x y z (fractional)
Ac 0.401 0.401 0.635
Ac 0.099 0.099 0.032
Mg 0.750 0.750 0.333

Values from the calculation:
E above lowest polymorph = 0 meV per atom
Total moment = 0.552 μB/f.u.
Calculated volume = 116.9 Å³ per cell